Entry 1:
DFT (GGA+U) results for Li2VF6 after structural relaxation.

Unit cell a=8.580 b=8.692 c=10.258 alpha=85.86 beta=84.81 gamma=61.68
Atoms (fractional coordinates):
Li1 0.000 0.000 0.000
Li2 0.039 0.624 0.801
Li3 0.206 0.077 0.489
Li4 0.277 0.275 0.965
Li5 0.329 0.348 0.304
Li6 0.385 0.963 0.101
Li7 0.454 0.183 0.576
Li8 0.534 0.423 0.778
Li9 0.637 0.605 0.256
Li10 0.688 0.666 0.592
Li11 0.883 0.718 0.080
Li12 0.955 0.957 0.556
V1 0.321 0.627 0.526
V2 0.334 0.622 0.030
V3 0.668 0.953 0.325
V4 0.670 0.956 0.825
V5 0.994 0.282 0.242
V6 0.997 0.285 0.738
F1 0.082 0.082 0.842
F2 0.083 0.385 0.860
F3 0.085 0.068 0.341
F4 0.093 0.707 0.480
F5 0.094 0.703 0.969
F6 0.106 0.347 0.358
F7 0.221 0.204 0.640
F8 0.224 0.202 0.136
F9 0.240 0.859 0.080
F10 0.240 0.859 0.580
F11 0.257 0.542 0.181
F12 0.260 0.553 0.693
F13 0.392 0.395 0.468
F14 0.408 0.677 0.871
F15 0.410 0.398 0.955
F16 0.420 0.675 0.374
F17 0.440 0.049 0.428
F18 0.452 0.036 0.930
F19 0.544 0.561 0.106
F20 0.546 0.550 0.603
F21 0.566 0.162 0.235
F22 0.574 0.180 0.731
F23 0.586 0.879 0.698
F24 0.590 0.851 0.196
F25 0.724 0.743 0.416
F26 0.746 0.032 0.458
F27 0.766 0.029 0.943
F28 0.766 0.737 0.915
F29 0.774 0.366 0.820
F30 0.778 0.373 0.338
F31 0.879 0.869 0.219
F32 0.892 0.865 0.723
F33 0.904 0.509 0.159
F34 0.914 0.505 0.651
F35 0.927 0.195 0.115
F36 0.942 0.180 0.606

Output
offset from the most stable computed form	21	meV/atom
total energy	-288.402	eV per cell

Entry 2:
DFT (GGA+U) results for LiV4O5F7 after structural relaxation.

Unit cell a=5.266 b=5.454 c=7.255 alpha=93.77 beta=90.43 gamma=90.65
Atoms (fractional coordinates):
Li1 0.000 0.000 0.000
V1 0.022 0.417 0.316
V2 0.032 0.451 0.820
V3 0.502 0.913 0.775
V4 0.530 0.913 0.278
O1 0.091 0.411 0.547
O2 0.205 0.735 0.847
O3 0.446 0.923 0.544
O4 0.615 0.919 0.051
O5 0.943 0.401 0.054
F1 0.202 0.090 0.241
F2 0.320 0.219 0.853
F3 0.334 0.605 0.254
F4 0.702 0.228 0.345
F5 0.711 0.615 0.760
F6 0.829 0.110 0.768
F7 0.834 0.731 0.345

Output
offset from the most stable computed form	27	meV/atom
total energy	-110.100	eV per cell

Entry 3:
DFT (GGA+U) results for Sr2PrFe3O9 after structural relaxation.

Unit cell a=5.537 b=5.537 c=13.570 alpha=90.54 beta=90.54 gamma=59.93
Atoms (fractional coordinates):
Sr1 0.165 0.165 0.083
Sr2 0.168 0.168 0.584
Sr3 0.832 0.832 0.416
Sr4 0.835 0.835 0.917
Pr1 0.492 0.492 0.250
Pr2 0.508 0.508 0.750
Fe1 0.167 0.167 0.334
Fe2 0.167 0.167 0.834
Fe3 0.500 0.500 0.000
Fe4 0.500 0.500 0.500
Fe5 0.833 0.833 0.166
Fe6 0.833 0.833 0.666
O1 0.014 0.014 0.237
O2 0.025 0.515 0.257
O3 0.157 0.651 0.079
O4 0.190 0.676 0.596
O5 0.321 0.321 0.429
O6 0.324 0.810 0.404
O7 0.349 0.843 0.921
O8 0.352 0.352 0.897
O9 0.485 0.975 0.743
O10 0.515 0.025 0.257
O11 0.648 0.648 0.103
O12 0.651 0.157 0.079
O13 0.676 0.190 0.596
O14 0.679 0.679 0.571
O15 0.810 0.324 0.404
O16 0.843 0.349 0.921
O17 0.975 0.485 0.743
O18 0.986 0.986 0.763

Output
total energy	-202.544	eV per cell

Entry 4:
DFT (GGA+U) results for Li5Co3O8 after structural relaxation.

Unit cell a=5.031 b=5.750 c=5.790 alpha=60.48 beta=74.38 gamma=73.75
Atoms (fractional coordinates):
Li1 0.000 0.000 0.000
Li2 0.496 0.756 0.748
Li3 0.497 0.756 0.247
Li4 0.503 0.244 0.753
Li5 0.504 0.244 0.252
Co1 0.000 0.000 0.500
Co2 0.000 0.500 0.000
Co3 0.000 0.500 0.500
O1 0.217 0.133 0.149
O2 0.220 0.609 0.123
O3 0.222 0.133 0.612
O4 0.238 0.644 0.615
O5 0.762 0.356 0.385
O6 0.778 0.867 0.388
O7 0.780 0.391 0.877
O8 0.783 0.867 0.851

Output
offset from the most stable computed form	2	meV/atom
total energy	-87.751	eV per cell

Entry 5:
DFT (GGA+U) results for Na2CrAuF6 after structural relaxation.

Unit cell a=6.112 b=6.112 c=6.112 alpha=60.00 beta=60.00 gamma=60.00
Atoms (fractional coordinates):
Na1 0.250 0.250 0.250
Na2 0.750 0.750 0.750
Cr1 0.000 0.000 0.000
Au1 0.500 0.500 0.500
F1 0.223 0.223 0.777
F2 0.223 0.777 0.223
F3 0.223 0.777 0.777
F4 0.777 0.223 0.223
F5 0.777 0.223 0.777
F6 0.777 0.777 0.223

Output
total energy	-45.935	eV per cell

Entry 6:
DFT (GGA+U) results for Mg6CrBiO8 after structural relaxation.

Unit cell a=4.486 b=4.486 c=9.148 alpha=90.00 beta=90.00 gamma=90.00
Atoms (fractional coordinates):
Mg1 0.000 0.000 0.000
Mg2 0.000 0.500 0.228
Mg3 0.000 0.500 0.772
Mg4 0.500 0.000 0.228
Mg5 0.500 0.000 0.772
Mg6 0.500 0.500 0.000
Cr1 0.000 0.000 0.500
Bi1 0.500 0.500 0.500
O1 0.000 0.000 0.225
O2 0.000 0.000 0.775
O3 0.000 0.500 0.000
O4 0.000 0.500 0.500
O5 0.500 0.000 0.000
O6 0.500 0.000 0.500
O7 0.500 0.500 0.228
O8 0.500 0.500 0.772

Output
offset from the most stable computed form	0	meV/atom
total energy	-93.731	eV per cell

Entry 7:
DFT (GGA+U) results for Sr2CrBiO6 after structural relaxation.

Unit cell a=5.787 b=5.787 c=5.787 alpha=60.00 beta=60.00 gamma=60.00
Atoms (fractional coordinates):
Sr1 0.250 0.250 0.250
Sr2 0.750 0.750 0.750
Cr1 0.000 0.000 0.000
Bi1 0.500 0.500 0.500
O1 0.245 0.245 0.755
O2 0.245 0.755 0.245
O3 0.245 0.755 0.755
O4 0.755 0.245 0.245
O5 0.755 0.245 0.755
O6 0.755 0.755 0.245

Output
total energy	-63.911	eV per cell

Entry 8:
DFT (GGA+U) results for Ba2YMgFe3O8 after structural relaxation.

Unit cell a=4.016 b=4.016 c=13.147 alpha=90.00 beta=90.00 gamma=90.00
Atoms (fractional coordinates):
Ba1 0.000 0.000 0.145
Ba2 0.000 0.000 0.855
Y1 0.000 0.000 0.500
Mg1 0.500 0.500 0.500
Fe1 0.500 0.500 0.000
Fe2 0.500 0.500 0.317
Fe3 0.500 0.500 0.683
O1 0.000 0.500 0.000
O2 0.000 0.500 0.400
O3 0.000 0.500 0.600
O4 0.500 0.000 0.000
O5 0.500 0.000 0.400
O6 0.500 0.000 0.600
O7 0.500 0.500 0.169
O8 0.500 0.500 0.831

Output
offset from the most stable computed form	171	meV/atom
total energy	-97.322	eV per cell

Entry 9:
DFT (GGA+U) results for NaCaGdWO6 after structural relaxation.

Unit cell a=5.917 b=5.917 c=5.917 alpha=60.00 beta=60.00 gamma=60.00
Atoms (fractional coordinates):
Na1 0.000 0.000 0.000
Ca1 0.500 0.500 0.500
Gd1 0.250 0.250 0.250
W1 0.750 0.750 0.750
O1 0.518 0.518 0.982
O2 0.518 0.982 0.518
O3 0.518 0.982 0.982
O4 0.982 0.518 0.518
O5 0.982 0.518 0.982
O6 0.982 0.982 0.518

Output
total energy	-79.426	eV per cell

Entry 10:
DFT (GGA+U) results for Li3Fe4B4O12 after structural relaxation.

Unit cell a=5.240 b=9.027 c=10.257 alpha=90.29 beta=91.50 gamma=90.01
Atoms (fractional coordinates):
Li1 0.000 0.000 0.000
Li2 0.000 0.010 0.496
Li3 0.319 0.996 0.247
Li4 0.323 0.013 0.752
Li5 0.496 0.505 0.483
Li6 0.822 0.516 0.741
Fe1 0.322 0.349 0.716
Fe2 0.327 0.665 0.217
Fe3 0.499 0.168 0.470
Fe4 0.511 0.827 0.963
Fe5 0.810 0.181 0.221
Fe6 0.818 0.845 0.712
Fe7 0.992 0.662 0.462
Fe8 0.998 0.340 0.964
B1 0.007 0.674 0.964
B2 0.318 0.334 0.213
B3 0.323 0.675 0.708
B4 0.488 0.170 0.958
B5 0.496 0.837 0.457
B6 0.824 0.173 0.714
B7 0.836 0.840 0.214
B8 0.995 0.336 0.468
O1 0.064 0.671 0.676
O2 0.076 0.325 0.154
O3 0.245 0.682 0.026
O4 0.254 0.339 0.505
O5 0.350 0.964 0.447
O6 0.357 0.299 0.925
O7 0.360 0.037 0.953
O8 0.383 0.701 0.423
O9 0.433 0.468 0.236
O10 0.437 0.807 0.751
O11 0.438 0.203 0.251
O12 0.471 0.550 0.695
O13 0.564 0.167 0.683
O14 0.572 0.831 0.189
O15 0.748 0.177 0.991
O16 0.751 0.843 0.498
O17 0.849 0.460 0.473
O18 0.883 0.805 0.928
O19 0.884 0.200 0.430
O20 0.895 0.539 0.935
O21 0.936 0.306 0.758
O22 0.961 0.973 0.195
O23 0.970 0.716 0.254
O24 0.974 0.048 0.699

Output
offset from the most stable computed form	0	meV/atom
total energy	-322.909	eV per cell

Entry 11:
DFT (GGA+U) results for Ba4MgFe4O10 after structural relaxation.

Unit cell a=5.674 b=5.917 c=10.156 alpha=106.94 beta=106.10 gamma=90.09
Atoms (fractional coordinates):
Ba1 0.000 0.000 0.000
Ba2 0.202 0.227 0.411
Ba3 0.481 0.505 0.966
Ba4 0.687 0.688 0.376
Mg1 0.684 0.649 0.688
Fe1 0.092 0.602 0.186
Fe2 0.279 0.910 0.688
Fe3 0.594 0.103 0.190
Fe4 0.766 0.211 0.688
O1 0.341 0.351 0.184
O2 0.345 0.856 0.194
O3 0.356 0.689 0.535
O4 0.418 0.206 0.688
O5 0.509 0.845 0.842
O6 0.739 0.332 0.532
O7 0.839 0.351 0.182
O8 0.845 0.855 0.192
O9 0.892 0.488 0.843
O10 0.926 0.917 0.688

Output
offset from the most stable computed form	0	meV/atom
total energy	-119.530	eV per cell

Entry 12:
DFT (GGA+U) results for Li5Fe8B8O24 after structural relaxation.

Unit cell a=5.276 b=9.084 c=11.372 alpha=113.17 beta=102.46 gamma=90.06
Atoms (fractional coordinates):
Li1 0.000 0.000 0.000
Li2 0.061 0.388 0.761
Li3 0.313 0.624 0.268
Li4 0.501 0.500 0.006
Li5 0.812 0.121 0.264
Fe1 0.043 0.710 0.736
Fe2 0.237 0.913 0.486
Fe3 0.292 0.273 0.233
Fe4 0.496 0.834 0.981
Fe5 0.542 0.198 0.730
Fe6 0.732 0.412 0.483
Fe7 0.796 0.774 0.231
Fe8 0.981 0.321 0.983
B1 0.039 0.037 0.732
B2 0.235 0.574 0.482
B3 0.291 0.944 0.230
B4 0.497 0.162 0.987
B5 0.528 0.535 0.732
B6 0.738 0.070 0.476
B7 0.790 0.449 0.232
B8 0.989 0.655 0.975
O1 0.015 0.580 0.535
O2 0.031 0.434 0.200
O3 0.084 0.771 0.937
O4 0.124 0.523 0.965
O5 0.137 0.062 0.216
O6 0.201 0.834 0.273
O7 0.254 0.016 0.677
O8 0.258 0.179 0.024
O9 0.319 0.699 0.459
O10 0.362 0.433 0.448
O11 0.411 0.406 0.738
O12 0.417 0.680 0.766
O13 0.514 0.073 0.520
O14 0.531 0.932 0.196
O15 0.589 0.277 0.948
O16 0.632 0.562 0.213
O17 0.642 0.040 0.992
O18 0.701 0.343 0.281
O19 0.757 0.675 0.016
O20 0.771 0.525 0.693
O21 0.832 0.205 0.464
O22 0.867 0.932 0.440
O23 0.934 0.912 0.751
O24 0.941 0.186 0.769

Output
offset from the most stable computed form	4	meV/atom
total energy	-317.882	eV per cell